Record 1
24
Lattice="2.077 -9.083 -3.501 -4.758 -7.947 3.645 -6.665 -4.816 -5.609" Properties=species:S:1:pos:R:3 comment="PBE Nd4CdIr, optimized geometry" ef_ev_per_atom=-0.444 mass_density_g_cm3=8.398 pbc="T T T"
Nd -3.248 -7.592 -1.899
Nd -7.313 -10.529 -5.320
Nd -6.150 -12.438 0.324
Nd -1.982 -13.132 -4.035
Nd -0.482 -9.781 -3.210
Nd -8.864 -12.065 -2.256
Nd -4.726 -9.075 1.227
Nd -4.620 -12.770 -6.692
Nd -5.910 -7.131 -4.519
Nd -3.437 -14.714 -0.947
Nd -4.476 -15.693 -4.388
Nd -9.544 -17.074 -3.811
Nd -7.042 -15.267 -1.705
Nd -6.978 -17.501 -6.493
Nd -7.758 -14.091 -5.179
Nd -6.262 -18.677 -3.019
Cd -5.417 -12.661 -3.168
Cd -3.296 -11.128 -1.382
Cd -3.902 -10.132 -4.328
Cd -6.078 -9.770 -2.053
Ir -1.323 -3.093 -0.774
Ir -4.214 -5.181 -3.207
Ir -3.387 -6.539 0.807
Ir -0.422 -7.032 -2.292


Record 2
22
Lattice="-1.640 1.900 -6.388 -0.286 -6.594 -1.882 -6.657 -0.180 1.661" Properties=species:S:1:pos:R:3 comment="PBE Sr3CdIrO6, optimized geometry" ef_ev_per_atom=-2.360 mass_density_g_cm3=6.815 pbc="T T T"
Sr -2.085 -1.155 -5.336
Sr -2.982 -4.803 -1.481
Sr -6.497 -3.719 -1.273
Sr -5.661 -0.135 -1.444
Sr -2.921 -4.739 -5.165
Sr -5.601 -0.071 -5.128
Cd -2.146 -1.219 -1.652
Cd -6.437 -3.656 -4.957
Ir -4.291 -2.437 -3.305
Ir 0.000 0.000 0.000
O -6.530 -1.875 0.510
O -3.460 1.200 -5.746
O -1.291 -5.731 -3.451
O -2.288 -2.886 -3.337
O -4.149 -2.432 -1.256
O -3.739 -0.461 -3.242
O -2.052 -2.999 -7.119
O -5.123 -6.074 -0.864
O -7.292 0.857 -3.158
O -6.294 -1.988 -3.272
O -4.844 -4.413 -3.367
O -4.434 -2.442 -5.353


Record 3
68
Lattice="5.060 -8.764 0.000 5.060 8.764 0.000 0.000 0.000 22.825" Properties=species:S:1:pos:R:3 comment="PBE Pr23Cd4Ir7, optimized geometry" ef_ev_per_atom=-0.450 mass_density_g_cm3=8.263 pbc="T T T"
Pr 3.130 1.807 16.435
Pr 5.060 5.150 16.435
Pr 6.990 -1.807 5.022
Pr 6.990 1.807 16.435
Pr 5.060 -5.150 5.022
Pr 3.130 -1.807 5.022
Pr 6.989 -1.807 21.608
Pr 5.060 -5.149 21.608
Pr 3.130 1.807 10.195
Pr 3.130 -1.807 21.608
Pr 5.060 5.149 10.195
Pr 6.989 1.807 10.195
Pr 3.164 1.827 22.592
Pr 5.060 5.110 22.592
Pr 6.955 -1.827 11.179
Pr 6.955 1.827 22.592
Pr 5.060 -5.110 11.179
Pr 3.164 -1.827 11.179
Pr 8.187 -1.116 14.513
Pr 5.060 -6.532 14.513
Pr 1.932 1.116 3.100
Pr 1.932 -1.116 14.513
Pr 5.060 6.532 3.100
Pr 8.187 1.116 3.100
Pr 6.990 4.035 19.534
Pr 5.060 0.693 19.534
Pr 3.130 -4.035 8.121
Pr 3.130 4.035 19.534
Pr 5.060 -0.693 8.121
Pr 6.990 -4.035 8.121
Pr 0.000 0.000 22.786
Pr 0.000 0.000 11.374
Pr 6.999 4.041 13.372
Pr 5.060 0.682 13.372
Pr 3.121 -4.041 1.959
Pr 3.121 4.041 13.372
Pr 5.060 -0.682 1.959
Pr 6.999 -4.041 1.959
Pr 7.048 -1.773 17.855
Pr 5.060 -5.217 17.855
Pr 3.071 1.773 6.443
Pr 3.071 -1.773 17.855
Pr 5.060 5.217 6.443
Pr 7.048 1.773 6.443
Pr 5.060 -2.921 14.740
Pr 5.060 2.921 3.328
Cd 0.000 0.000 17.110
Cd 0.000 0.000 5.697
Cd 1.618 0.934 19.704
Cd 5.060 6.896 19.704
Cd 8.502 -0.934 8.291
Cd 8.502 0.934 19.704
Cd 5.060 -6.896 8.291
Cd 1.618 -0.934 8.291
Ir 2.841 -4.202 16.215
Ir 5.060 -0.360 16.215
Ir 7.278 4.202 4.803
Ir 7.278 -4.202 16.215
Ir 5.060 0.360 4.803
Ir 2.841 4.202 4.803
Ir 5.060 -2.921 19.727
Ir 5.060 2.921 8.314
Ir 2.188 1.263 12.852
Ir 5.060 6.237 12.852
Ir 7.931 -1.263 1.440
Ir 7.931 1.263 12.852
Ir 5.060 -6.237 1.440
Ir 2.188 -1.263 1.440


Record 4
24
Lattice="0.000 7.094 7.094 7.094 0.000 7.094 7.094 7.094 0.000" Properties=species:S:1:pos:R:3 comment="PBE Pr4CdIr, optimized geometry" ef_ev_per_atom=-0.426 mass_density_g_cm3=8.077 pbc="T T T"
Pr 4.930 4.930 4.930
Pr 9.259 9.259 4.930
Pr 9.259 4.930 9.259
Pr 4.930 9.259 9.259
Pr 2.691 7.094 7.094
Pr 11.497 7.094 7.094
Pr 7.094 2.691 7.094
Pr 7.094 11.497 7.094
Pr 7.094 7.094 2.691
Pr 7.094 7.094 11.497
Pr 7.970 10.641 10.641
Pr 13.312 10.641 10.641
Pr 10.641 7.970 10.641
Pr 10.641 13.312 10.641
Pr 10.641 10.641 7.970
Pr 10.641 10.641 13.312
Cd 8.223 8.223 8.223
Cd 5.965 5.965 8.223
Cd 5.965 8.223 5.965
Cd 8.223 5.965 5.965
Ir 2.009 2.009 2.009
Ir 5.085 5.085 2.009
Ir 5.085 2.009 5.085
Ir 2.009 5.085 5.085